No. 1
{"formula": "NaY2PS2O12", "functional": "GGA-PBE", "state": "relaxed", "cell": [[7.909, -4.566, 0.000], [7.909, 4.566, 0.000], [-0.003, 0.000, 24.358]], "species": ["Na", "Na", "Na", "Na", "Na", "Na", "Y", "Y", "Y", "Y", "Y", "Y", "Y", "Y", "Y", "Y", "Y", "Y", "P", "P", "P", "P", "P", "P", "S", "S", "S", "S", "S", "S", "S", "S", "S", "S", "S", "S", "O", "O", "O", "O", "O", "O", "O", "O", "O", "O", "O", "O", "O", "O", "O", "O", "O", "O", "O", "O", "O", "O", "O", "O", "O", "O", "O", "O", "O", "O", "O", "O", "O", "O", "O", "O", "O", "O", "O", "O", "O", "O", "O", "O", "O", "O", "O", "O", "O", "O", "O", "O", "O", "O", "O", "O", "O", "O", "O", "O", "O", "O", "O", "O", "O", "O", "O", "O", "O", "O", "O", "O"], "frac_coords": [[0.002, 0.998, 0.500], [0.322, 0.356, 0.834], [0.356, 0.322, 0.334], [0.663, 0.705, 0.167], [0.705, 0.663, 0.667], [0.998, 0.002, 0.000], [0.013, 0.014, 0.649], [0.013, 0.014, 0.851], [0.014, 0.013, 0.149], [0.014, 0.013, 0.351], [0.332, 0.353, 0.685], [0.345, 0.349, 0.483], [0.349, 0.345, 0.983], [0.353, 0.332, 0.185], [0.671, 0.697, 0.316], [0.686, 0.689, 0.018], [0.689, 0.686, 0.518], [0.697, 0.671, 0.816], [0.014, 0.308, 0.750], [0.050, 0.646, 0.583], [0.308, 0.014, 0.250], [0.646, 0.050, 0.083], [0.680, 0.983, 0.417], [0.983, 0.680, 0.917], [0.015, 0.714, 0.250], [0.049, 0.347, 0.083], [0.312, 0.717, 0.750], [0.347, 0.049, 0.583], [0.348, 0.642, 0.084], [0.385, 0.679, 0.417], [0.385, 0.975, 0.916], [0.642, 0.348, 0.584], [0.679, 0.385, 0.917], [0.714, 0.015, 0.750], [0.717, 0.312, 0.250], [0.975, 0.385, 0.416], [0.000, 0.218, 0.698], [0.027, 0.204, 0.802], [0.031, 0.798, 0.300], [0.031, 0.824, 0.587], [0.035, 0.193, 0.088], [0.131, 0.368, 0.133], [0.138, 0.541, 0.635], [0.145, 0.368, 0.420], [0.150, 0.330, 0.034], [0.155, 0.556, 0.531], [0.159, 0.519, 0.921], [0.170, 0.546, 0.245], [0.173, 0.326, 0.747], [0.193, 0.035, 0.588], [0.196, 0.813, 0.087], [0.204, 0.027, 0.302], [0.209, 0.798, 0.800], [0.213, 0.995, 0.912], [0.215, 0.833, 0.413], [0.218, 0.000, 0.198], [0.228, 0.816, 0.700], [0.326, 0.173, 0.247], [0.329, 0.560, 0.034], [0.330, 0.150, 0.534], [0.333, 0.545, 0.746], [0.362, 0.543, 0.133], [0.365, 0.528, 0.421], [0.368, 0.131, 0.633], [0.368, 0.145, 0.920], [0.466, 0.875, 0.966], [0.470, 0.694, 0.467], [0.481, 0.703, 0.755], [0.485, 0.890, 0.866], [0.486, 0.661, 0.367], [0.486, 0.854, 0.253], [0.497, 0.877, 0.579], [0.502, 0.657, 0.079], [0.519, 0.159, 0.421], [0.528, 0.365, 0.921], [0.541, 0.138, 0.135], [0.543, 0.362, 0.633], [0.545, 0.333, 0.246], [0.546, 0.170, 0.745], [0.556, 0.155, 0.031], [0.560, 0.329, 0.534], [0.657, 0.502, 0.579], [0.661, 0.486, 0.867], [0.662, 0.872, 0.080], [0.662, 0.894, 0.365], [0.694, 0.470, 0.967], [0.694, 0.864, 0.754], [0.698, 0.875, 0.468], [0.703, 0.481, 0.255], [0.798, 0.031, 0.800], [0.798, 0.209, 0.300], [0.813, 0.196, 0.587], [0.816, 0.228, 0.200], [0.818, 0.994, 0.700], [0.824, 0.031, 0.087], [0.833, 0.215, 0.913], [0.840, 0.999, 0.412], [0.854, 0.486, 0.753], [0.864, 0.694, 0.254], [0.872, 0.662, 0.580], [0.875, 0.466, 0.466], [0.875, 0.698, 0.968], [0.877, 0.497, 0.079], [0.890, 0.485, 0.366], [0.894, 0.662, 0.865], [0.994, 0.818, 0.200], [0.995, 0.213, 0.412], [0.999, 0.840, 0.912]], "e_form_ev_per_atom": -2.82}

=====

No. 2
{"formula": "LuHfCo2", "functional": "GGA-PBE", "state": "relaxed", "cell": [[0.000, 3.209, 3.209], [3.209, 0.000, 3.209], [3.209, 3.209, 0.000]], "species": ["Lu", "Hf", "Co", "Co"], "frac_coords": [[0.000, 0.000, 0.000], [0.500, 0.500, 0.500], [0.250, 0.250, 0.250], [0.750, 0.750, 0.750]], "e_form_ev_per_atom": -0.33}

=====

No. 3
{"formula": "Mg14ZrMo", "functional": "GGA-PBE", "state": "relaxed", "cell": [[6.341, 0.000, 0.000], [-3.171, 5.492, 0.000], [0.000, 0.000, 10.020]], "species": ["Mg", "Mg", "Mg", "Mg", "Mg", "Mg", "Mg", "Mg", "Mg", "Mg", "Mg", "Mg", "Mg", "Mg", "Zr", "Mo"], "frac_coords": [[0.000, 0.000, 0.244], [0.000, 0.000, 0.756], [0.015, 0.507, 0.260], [0.015, 0.507, 0.740], [0.332, 0.166, 0.500], [0.341, 0.171, 0.000], [0.493, 0.507, 0.260], [0.493, 0.507, 0.740], [0.493, 0.985, 0.260], [0.493, 0.985, 0.740], [0.829, 0.171, 0.000], [0.829, 0.659, 0.000], [0.834, 0.166, 0.500], [0.834, 0.668, 0.500], [0.333, 0.667, 0.000], [0.333, 0.667, 0.500]], "e_above_lowest_polymorph_ev_per_atom": 0.049, "e_form_ev_per_atom": 0.15}

=====

No. 4
{"formula": "KPO4", "functional": "GGA-PBE", "state": "relaxed", "cell": [[-3.888, 3.888, 3.579], [3.888, -3.888, 3.579], [3.888, 3.888, -3.579]], "species": ["K", "K", "P", "P", "O", "O", "O", "O", "O", "O", "O", "O"], "frac_coords": [[0.000, 0.000, 0.000], [0.750, 0.250, 0.500], [0.250, 0.750, 0.500], [0.500, 0.500, 0.000], [0.116, 0.788, 0.652], [0.136, 0.464, 0.348], [0.212, 0.864, 0.328], [0.214, 0.386, 0.848], [0.536, 0.884, 0.672], [0.538, 0.366, 0.152], [0.614, 0.462, 0.828], [0.634, 0.786, 0.172]], "e_form_ev_per_atom": -2.05}

=====

No. 5
{"formula": "UBi2O6", "functional": "GGA-PBE", "state": "relaxed", "cell": [[3.927, 0.000, 0.000], [-1.963, 3.401, 0.000], [0.000, 0.000, 9.558]], "species": ["U", "Bi", "Bi", "O", "O", "O", "O", "O", "O"], "frac_coords": [[0.000, 0.000, 0.000], [0.333, 0.667, 0.340], [0.667, 0.333, 0.660], [0.000, 0.000, 0.210], [0.000, 0.000, 0.790], [0.333, 0.667, 0.053], [0.333, 0.667, 0.585], [0.667, 0.333, 0.415], [0.667, 0.333, 0.947]], "e_form_ev_per_atom": -2.55}

=====

No. 6
{"formula": "Na6Si7Sn4Ge4S5O48", "functional": "GGA-PBE", "state": "relaxed", "cell": [[8.756, 0.000, 0.000], [0.029, 15.134, 0.000], [0.059, 0.370, 22.392]], "species": ["Na", "Na", "Na", "Na", "Na", "Na", "Na", "Na", "Na", "Na", "Na", "Na", "Na", "Na", "Na", "Na", "Na", "Na", "Si", "Si", "Si", "Si", "Si", "Si", "Si", "Si", "Si", "Si", "Si", "Si", "Si", "Si", "Si", "Si", "Si", "Si", "Si", "Si", "Si", "Sn", "Sn", "Sn", "Sn", "Sn", "Sn", "Sn", "Sn", "Sn", "Sn", "Sn", "Sn", "Ge", "Ge", "Ge", "Ge", "Ge", "Ge", "Ge", "Ge", "Ge", "Ge", "Ge", "Ge", "S", "S", "S", "S", "S", "S", "S", "S", "S", "S", "S", "S", "S", "S", "S", "O", "O", "O", "O", "O", "O", "O", "O", "O", "O", "O", "O", "O", "O", "O", "O", "O", "O", "O", "O", "O", "O", "O", "O", "O", "O", "O", "O", "O", "O", "O", "O", "O", "O", "O", "O", "O", "O", "O", "O", "O", "O", "O", "O", "O", "O", "O", "O", "O", "O", "O", "O", "O", "O", "O", "O", "O", "O", "O", "O", "O", "O", "O", "O", "O", "O", "O", "O", "O", "O", "O", "O", "O", "O", "O", "O", "O", "O", "O", "O", "O", "O", "O", "O", "O", "O", "O", "O", "O", "O", "O", "O", "O", "O", "O", "O", "O", "O", "O", "O", "O", "O", "O", "O", "O", "O", "O", "O", "O", "O", "O", "O", "O", "O", "O", "O", "O", "O", "O", "O", "O", "O", "O", "O", "O", "O", "O", "O", "O", "O", "O", "O", "O", "O", "O", "O", "O", "O", "O", "O", "O", "O", "O", "O"], "frac_coords": [[0.000, 0.000, 0.000], [0.000, 0.324, 0.329], [0.000, 0.668, 0.164], [0.002, 0.665, 0.669], [0.005, 0.328, 0.837], [0.011, 0.000, 0.493], [0.132, 0.500, 0.244], [0.147, 0.830, 0.586], [0.355, 0.332, 0.082], [0.371, 0.999, 0.747], [0.499, 0.501, 0.992], [0.500, 0.166, 0.164], [0.500, 0.823, 0.333], [0.504, 0.821, 0.831], [0.506, 0.167, 0.668], [0.506, 0.501, 0.502], [0.643, 0.999, 0.245], [0.864, 0.500, 0.753], [0.136, 0.185, 0.082], [0.140, 0.850, 0.750], [0.145, 0.145, 0.750], [0.147, 0.481, 0.082], [0.147, 0.815, 0.415], [0.200, 0.167, 0.416], [0.304, 0.668, 0.916], [0.360, 0.646, 0.249], [0.361, 0.315, 0.914], [0.361, 0.981, 0.581], [0.362, 0.352, 0.249], [0.365, 0.680, 0.585], [0.634, 0.364, 0.748], [0.643, 0.973, 0.078], [0.644, 0.640, 0.752], [0.717, 0.999, 0.750], [0.789, 0.499, 0.250], [0.859, 0.472, 0.578], [0.861, 0.513, 0.918], [0.862, 0.139, 0.252], [0.869, 0.864, 0.247], [0.001, 0.675, 0.308], [0.006, 0.331, 0.189], [0.007, 0.000, 0.648], [0.007, 0.664, 0.816], [0.008, 0.664, 0.517], [0.496, 0.164, 0.016], [0.497, 0.831, 0.690], [0.498, 0.170, 0.314], [0.500, 0.501, 0.146], [0.505, 0.175, 0.808], [0.509, 0.830, 0.185], [0.996, 0.332, 0.688], [0.005, 0.330, 0.481], [0.009, 0.000, 0.352], [0.020, 0.646, 0.011], [0.036, 0.336, 0.979], [0.467, 0.824, 0.484], [0.479, 0.159, 0.515], [0.501, 0.830, 0.980], [0.504, 0.500, 0.336], [0.521, 0.502, 0.860], [0.539, 0.506, 0.645], [0.963, 0.006, 0.141], [0.998, 0.999, 0.840], [0.156, 0.514, 0.415], [0.210, 0.831, 0.080], [0.224, 0.498, 0.747], [0.285, 0.998, 0.248], [0.294, 0.329, 0.579], [0.349, 0.014, 0.914], [0.646, 0.017, 0.419], [0.649, 0.312, 0.419], [0.656, 0.687, 0.078], [0.701, 0.665, 0.416], [0.716, 0.333, 0.080], [0.785, 0.833, 0.578], [0.803, 0.162, 0.915], [0.850, 0.186, 0.577], [0.857, 0.814, 0.919], [0.058, 0.232, 0.022], [0.063, 0.754, 0.754], [0.064, 0.101, 0.810], [0.065, 0.084, 0.091], [0.065, 0.579, 0.075], [0.068, 0.242, 0.745], [0.069, 0.913, 0.405], [0.071, 0.777, 0.477], [0.073, 0.887, 0.686], [0.074, 0.444, 0.144], [0.081, 0.425, 0.423], [0.083, 0.552, 0.361], [0.094, 0.256, 0.428], [0.096, 0.078, 0.408], [0.110, 0.753, 0.073], [0.116, 0.576, 0.750], [0.117, 0.919, 0.807], [0.120, 0.418, 0.744], [0.122, 0.913, 0.085], [0.126, 0.414, 0.027], [0.127, 0.248, 0.139], [0.130, 0.569, 0.468], [0.130, 0.748, 0.360], [0.133, 0.087, 0.690], [0.172, 0.987, 0.582], [0.174, 0.318, 0.921], [0.177, 0.349, 0.250], [0.177, 0.648, 0.255], [0.178, 0.677, 0.576], [0.181, 0.005, 0.910], [0.194, 0.342, 0.525], [0.196, 0.013, 0.195], [0.197, 0.650, 0.976], [0.199, 0.694, 0.859], [0.199, 0.984, 0.305], [0.203, 0.309, 0.633], [0.303, 0.811, 0.135], [0.307, 0.189, 0.359], [0.309, 0.486, 0.802], [0.310, 0.147, 0.475], [0.312, 0.511, 0.692], [0.313, 0.845, 0.027], [0.323, 0.177, 0.075], [0.324, 0.504, 0.410], [0.325, 0.850, 0.750], [0.329, 0.147, 0.755], [0.335, 0.487, 0.083], [0.337, 0.823, 0.422], [0.374, 0.069, 0.968], [0.375, 0.586, 0.191], [0.378, 0.246, 0.860], [0.378, 0.750, 0.638], [0.385, 0.913, 0.524], [0.386, 0.409, 0.583], [0.386, 0.417, 0.307], [0.386, 0.918, 0.246], [0.393, 0.075, 0.254], [0.396, 0.249, 0.572], [0.405, 0.579, 0.909], [0.412, 0.757, 0.929], [0.421, 0.052, 0.860], [0.424, 0.925, 0.923], [0.432, 0.390, 0.186], [0.432, 0.412, 0.904], [0.433, 0.942, 0.642], [0.436, 0.580, 0.593], [0.436, 0.744, 0.246], [0.440, 0.277, 0.976], [0.440, 0.604, 0.310], [0.441, 0.256, 0.252], [0.445, 0.722, 0.523], [0.446, 0.078, 0.573], [0.560, 0.405, 0.685], [0.562, 0.595, 0.810], [0.566, 0.938, 0.141], [0.570, 0.264, 0.748], [0.572, 0.737, 0.746], [0.575, 0.400, 0.414], [0.576, 0.054, 0.363], [0.576, 0.073, 0.072], [0.577, 0.928, 0.426], [0.578, 0.266, 0.473], [0.578, 0.728, 0.026], [0.585, 0.598, 0.082], [0.604, 0.083, 0.758], [0.604, 0.585, 0.411], [0.607, 0.908, 0.022], [0.608, 0.912, 0.746], [0.611, 0.748, 0.422], [0.612, 0.253, 0.078], [0.614, 0.412, 0.083], [0.615, 0.423, 0.807], [0.616, 0.078, 0.470], [0.628, 0.736, 0.134], [0.632, 0.259, 0.364], [0.634, 0.582, 0.690], [0.673, 0.478, 0.584], [0.674, 0.141, 0.260], [0.677, 0.508, 0.913], [0.680, 0.856, 0.244], [0.681, 0.181, 0.569], [0.686, 0.824, 0.925], [0.688, 0.479, 0.311], [0.690, 0.844, 0.524], [0.694, 0.521, 0.189], [0.700, 0.820, 0.634], [0.706, 0.144, 0.969], [0.707, 0.175, 0.861], [0.797, 0.679, 0.362], [0.798, 0.648, 0.470], [0.800, 0.319, 0.136], [0.809, 0.021, 0.688], [0.810, 0.343, 0.027], [0.813, 0.012, 0.414], [0.817, 0.979, 0.810], [0.818, 0.321, 0.425], [0.823, 0.356, 0.744], [0.823, 0.682, 0.072], [0.830, 0.978, 0.083], [0.831, 0.644, 0.757], [0.871, 0.080, 0.191], [0.874, 0.762, 0.863], [0.875, 0.237, 0.633], [0.883, 0.583, 0.973], [0.888, 0.913, 0.580], [0.889, 0.754, 0.576], [0.891, 0.923, 0.307], [0.894, 0.242, 0.921], [0.895, 0.408, 0.521], [0.897, 0.412, 0.247], [0.899, 0.080, 0.910], [0.901, 0.584, 0.259], [0.919, 0.097, 0.581], [0.926, 0.227, 0.524], [0.926, 0.770, 0.972], [0.927, 0.572, 0.572], [0.929, 0.903, 0.913], [0.931, 0.237, 0.246], [0.933, 0.414, 0.930], [0.935, 0.765, 0.249], [0.942, 0.095, 0.311], [0.942, 0.436, 0.639], [0.942, 0.550, 0.857], [0.947, 0.908, 0.186]], "e_form_ev_per_atom": -2.29}

=====

No. 7
{"formula": "Ti6Be15Cu8", "functional": "GGA-PBE", "state": "relaxed", "cell": [[0.000, 5.376, 5.376], [5.376, 0.000, 5.376], [5.376, 5.376, 0.000]], "species": ["Ti", "Ti", "Ti", "Ti", "Ti", "Ti", "Be", "Be", "Be", "Be", "Be", "Be", "Be", "Be", "Be", "Be", "Be", "Be", "Be", "Be", "Be", "Cu", "Cu", "Cu", "Cu", "Cu", "Cu", "Cu", "Cu"], "frac_coords": [[0.197, 0.197, 0.803], [0.197, 0.803, 0.197], [0.197, 0.803, 0.803], [0.803, 0.197, 0.197], [0.803, 0.197, 0.803], [0.803, 0.803, 0.197], [0.000, 0.000, 0.500], [0.000, 0.500, 0.000], [0.000, 0.500, 0.500], [0.173, 0.173, 0.173], [0.173, 0.173, 0.480], [0.173, 0.480, 0.173], [0.480, 0.173, 0.173], [0.500, 0.000, 0.000], [0.500, 0.000, 0.500], [0.500, 0.500, 0.000], [0.500, 0.500, 0.500], [0.520, 0.827, 0.827], [0.827, 0.520, 0.827], [0.827, 0.827, 0.520], [0.827, 0.827, 0.827], [0.134, 0.622, 0.622], [0.378, 0.378, 0.378], [0.378, 0.378, 0.866], [0.378, 0.866, 0.378], [0.622, 0.134, 0.622], [0.622, 0.622, 0.134], [0.622, 0.622, 0.622], [0.866, 0.378, 0.378]], "e_form_ev_per_atom": -0.23}